# 1
CeB3H12: relaxed, PBE.

Computed properties:
- ΔH_f (0 K) (meV/atom) = -402
- theoretical density (Mg/m³) = 1.675
- raw total energy (eV per atom) = -4.435

Cell: 11.3560 11.3560 11.3560 Å, 90.00 90.00 90.00°
Fractional coordinates of all 128 atoms:
1 Ce 0.7826 0.7174 0.2826
2 Ce 0.7174 0.2174 0.2826
3 Ce 0.2826 0.7174 0.2174
4 Ce 0.2174 0.2174 0.2174
5 Ce 0.2174 0.2826 0.7174
6 Ce 0.2826 0.7826 0.7174
7 Ce 0.7826 0.7826 0.7826
8 Ce 0.7174 0.2826 0.7826
9 B 0.2532 0.0330 0.6917
10 B 0.2468 0.9670 0.1917
11 B 0.2532 0.4670 0.1917
12 B 0.4670 0.3083 0.7532
13 B 0.8083 0.7468 0.5330
14 B 0.0330 0.8083 0.7532
15 B 0.7468 0.9670 0.3083
16 B 0.0330 0.6917 0.2532
17 B 0.7532 0.4670 0.3083
18 B 0.9670 0.3083 0.7468
19 B 0.2468 0.5330 0.6917
20 B 0.5330 0.8083 0.7468
21 B 0.6917 0.2468 0.5330
22 B 0.9670 0.1917 0.2468
23 B 0.1917 0.2532 0.4670
24 B 0.7468 0.5330 0.8083
25 B 0.1917 0.2468 0.9670
26 B 0.5330 0.6917 0.2468
27 B 0.3083 0.7468 0.9670
28 B 0.3083 0.7532 0.4670
29 B 0.6917 0.2532 0.0330
30 B 0.4670 0.1917 0.2532
31 B 0.8083 0.7532 0.0330
32 B 0.7532 0.0330 0.8083
33 H 0.2737 0.5322 0.1075
34 H 0.3347 0.1039 0.6994
35 H 0.9194 0.3261 0.8427
36 H 0.3261 0.8427 0.9194
37 H 0.8261 0.6573 0.0806
38 H 0.7466 0.5204 0.2140
39 H 0.0806 0.6739 0.1573
40 H 0.7263 0.4678 0.8925
41 H 0.7263 0.0322 0.3925
42 H 0.1653 0.8961 0.1994
43 H 0.9194 0.1739 0.3427
44 H 0.6994 0.1653 0.6039
45 H 0.6739 0.1573 0.0806
46 H 0.0806 0.8261 0.6573
47 H 0.4194 0.3261 0.6573
48 H 0.2466 0.5204 0.2860
49 H 0.2860 0.2534 0.0204
50 H 0.1039 0.6994 0.3347
51 H 0.3427 0.5806 0.6739
52 H 0.7860 0.2466 0.9796
53 H 0.2860 0.2466 0.5204
54 H 0.8925 0.7263 0.4678
55 H 0.3925 0.7263 0.0322
56 H 0.8006 0.8347 0.1039
57 H 0.6039 0.8006 0.6653
58 H 0.7534 0.0204 0.2140
59 H 0.4796 0.7860 0.2534
60 H 0.5204 0.2860 0.2466
61 H 0.1573 0.0806 0.6739
62 H 0.1653 0.6039 0.6994
63 H 0.2466 0.9796 0.7860
64 H 0.1573 0.4194 0.1739
65 H 0.5322 0.3925 0.7737
66 H 0.1994 0.3347 0.3961
67 H 0.2534 0.4796 0.7860
68 H 0.6994 0.3347 0.1039
69 H 0.6573 0.0806 0.8261
70 H 0.8347 0.1039 0.8006
71 H 0.9678 0.8925 0.7737
72 H 0.3261 0.6573 0.4194
73 H 0.7737 0.5322 0.3925
74 H 0.7534 0.4796 0.7140
75 H 0.5204 0.2140 0.7466
76 H 0.5806 0.6739 0.3427
77 H 0.6653 0.8961 0.3006
78 H 0.2534 0.0204 0.2860
79 H 0.5322 0.1075 0.2737
80 H 0.4678 0.8925 0.7263
81 H 0.6075 0.2737 0.9678
82 H 0.7140 0.7466 0.9796
83 H 0.8961 0.1994 0.1653
84 H 0.2263 0.4678 0.6075
85 H 0.6653 0.6039 0.8006
86 H 0.0322 0.1075 0.2263
87 H 0.1039 0.8006 0.8347
88 H 0.8427 0.9194 0.3261
89 H 0.6075 0.2263 0.4678
90 H 0.1075 0.2263 0.0322
91 H 0.7737 0.9678 0.8925
92 H 0.7140 0.7534 0.4796
93 H 0.8427 0.5806 0.8261
94 H 0.3961 0.1994 0.3347
95 H 0.8006 0.6653 0.6039
96 H 0.4194 0.1739 0.1573
97 H 0.9678 0.6075 0.2737
98 H 0.0204 0.2860 0.2534
99 H 0.0204 0.2140 0.7534
100 H 0.1994 0.1653 0.8961
101 H 0.3925 0.7737 0.5322
102 H 0.9796 0.7860 0.2466
103 H 0.7466 0.9796 0.7140
104 H 0.6573 0.4194 0.3261
105 H 0.5806 0.8261 0.8427
106 H 0.3006 0.6653 0.8961
107 H 0.1075 0.2737 0.5322
108 H 0.3006 0.8347 0.3961
109 H 0.8261 0.8427 0.5806
110 H 0.7860 0.2534 0.4796
111 H 0.4678 0.6075 0.2263
112 H 0.2140 0.7534 0.0204
113 H 0.9796 0.7140 0.7466
114 H 0.6039 0.6994 0.1653
115 H 0.2263 0.0322 0.1075
116 H 0.2140 0.7466 0.5204
117 H 0.3427 0.9194 0.1739
118 H 0.3961 0.3006 0.8347
119 H 0.8961 0.3006 0.6653
120 H 0.4796 0.7140 0.7534
121 H 0.2737 0.9678 0.6075
122 H 0.8347 0.3961 0.3006
123 H 0.1739 0.3427 0.9194
124 H 0.6739 0.3427 0.5806
125 H 0.8925 0.7737 0.9678
126 H 0.1739 0.1573 0.4194
127 H 0.3347 0.3961 0.1994
128 H 0.0322 0.3925 0.7263



# 2
YGaPd2: relaxed, PBE.

Computed properties:
- ΔH_f (0 K) (meV/atom) = -898
- theoretical density (Mg/m³) = 8.250
- raw total energy (eV per atom) = -5.862

Cell: 5.6193 7.1846 7.4079 Å, 90.00 90.00 90.00°
Fractional coordinates of all 16 atoms:
1 Y 0.3555 0.7500 0.0319
2 Y 0.1445 0.7500 0.5319
3 Y 0.6445 0.2500 0.9681
4 Y 0.8555 0.2500 0.4681
5 Ga 0.6437 0.7500 0.3857
6 Ga 0.8563 0.7500 0.8857
7 Ga 0.3563 0.2500 0.6143
8 Ga 0.1437 0.2500 0.1143
9 Pd 0.9103 0.5513 0.1829
10 Pd 0.5897 0.9487 0.6829
11 Pd 0.0897 0.0513 0.8171
12 Pd 0.4103 0.4487 0.3171
13 Pd 0.0897 0.4487 0.8171
14 Pd 0.4103 0.0513 0.3171
15 Pd 0.9103 0.9487 0.1829
16 Pd 0.5897 0.5513 0.6829



# 3
Hg2N: relaxed, PBE.

Computed properties:
- ΔH_f (0 K) (meV/atom) = 724
- theoretical density (Mg/m³) = 5.057
- raw total energy (eV per atom) = -2.137

Cell: 7.2786 7.2786 7.2786 Å, 60.00 60.00 60.00°
Fractional coordinates of all 6 atoms:
1 Hg 0.1250 0.1250 0.6250
2 Hg 0.1250 0.6250 0.1250
3 Hg 0.6250 0.1250 0.1250
4 Hg 0.1250 0.1250 0.1250
5 N 0.2500 0.2500 0.2500
6 N 0.0000 0.0000 0.0000



# 4
SrNi2B2: relaxed, PBE.

Computed properties:
- ΔH_f (0 K) (meV/atom) = 111
- theoretical density (Mg/m³) = 5.519
- raw total energy (eV per atom) = -5.211

Cell: 3.2116 7.7118 11.1382 Å, 98.60 90.35 90.11°
Fractional coordinates of all 20 atoms:
1 Sr 0.5042 0.6659 0.4306
2 Sr 0.4975 0.3332 0.5693
3 Sr 0.0011 0.8177 0.9173
4 Sr 0.9984 0.1826 0.0830
5 Ni 0.4972 0.8116 0.1563
6 Ni 0.5025 0.1906 0.8444
7 Ni 0.9986 0.7152 0.6795
8 Ni 0.0026 0.2838 0.3205
9 Ni 0.5008 0.4990 0.8110
10 Ni 0.4991 0.5023 0.1884
11 Ni 0.9988 0.9514 0.3060
12 Ni 0.0005 0.0481 0.6945
13 B 0.4999 0.0080 0.4286
14 B 0.4984 0.9911 0.5716
15 B 0.9968 0.4525 0.9271
16 B 0.0033 0.5480 0.0724
17 B 0.5012 0.1214 0.3078
18 B 0.4991 0.8772 0.6921
19 B 0.0009 0.3102 0.7919
20 B 0.9991 0.6905 0.2078